# 1
# Mg14VCr (meta-GGA r2SCAN, relaxed)
data_Mg14VCr
_chemical_formula_sum 'Mg14 V1 Cr1'
_cell_length_a 6.275
_cell_length_b 6.275
_cell_length_c 10.067
_cell_angle_alpha 90.00
_cell_angle_beta 90.00
_cell_angle_gamma 120.00
_space_group_name_H-M_alt 'P 1'
_space_group_IT_number 1
loop_
_space_group_symop_operation_xyz
'x,y,z'
loop_
_atom_site_label
_atom_site_type_symbol
_atom_site_fract_x
_atom_site_fract_y
_atom_site_fract_z
Mg1 Mg 0.000 0.000 0.250
Mg2 Mg 0.000 0.000 0.750
Mg3 Mg 0.010 0.505 0.250
Mg4 Mg 0.010 0.505 0.750
Mg5 Mg 0.334 0.167 0.000
Mg6 Mg 0.334 0.167 0.500
Mg7 Mg 0.495 0.505 0.250
Mg8 Mg 0.495 0.505 0.750
Mg9 Mg 0.495 0.990 0.250
Mg10 Mg 0.495 0.990 0.750
Mg11 Mg 0.833 0.167 0.000
Mg12 Mg 0.833 0.167 0.500
Mg13 Mg 0.833 0.666 0.000
Mg14 Mg 0.833 0.666 0.500
V1 V 0.333 0.667 0.000
Cr1 Cr 0.333 0.667 0.500
# crystal system	hexagonal
# V	21.5	Å³ per atom
# ΔH_f (0 K)	102	meV/atom

# 2
# U4Re7Si6 (meta-GGA r2SCAN, relaxed)
data_U4Re7Si6
_chemical_formula_sum 'U4 Re7 Si6'
_cell_length_a 7.127
_cell_length_b 7.127
_cell_length_c 7.127
_cell_angle_alpha 109.47
_cell_angle_beta 109.47
_cell_angle_gamma 109.47
_space_group_name_H-M_alt 'P 1'
_space_group_IT_number 1
loop_
_space_group_symop_operation_xyz
'x,y,z'
loop_
_atom_site_label
_atom_site_type_symbol
_atom_site_fract_x
_atom_site_fract_y
_atom_site_fract_z
U1 U 0.000 0.000 0.500
U2 U 0.000 0.500 0.000
U3 U 0.500 0.000 0.000
U4 U 0.500 0.500 0.500
Re1 Re 0.000 0.000 0.000
Re2 Re 0.250 0.500 0.750
Re3 Re 0.250 0.750 0.500
Re4 Re 0.500 0.250 0.750
Re5 Re 0.500 0.750 0.250
Re6 Re 0.750 0.250 0.500
Re7 Re 0.750 0.500 0.250
Si1 Si 0.000 0.311 0.311
Si2 Si 0.000 0.689 0.689
Si3 Si 0.311 0.000 0.311
Si4 Si 0.311 0.311 0.000
Si5 Si 0.689 0.000 0.689
Si6 Si 0.689 0.689 0.000
# crystal system	cubic
# V	16.4	Å³ per atom
# ΔH_f (0 K)	-510	meV/atom

# 3
# La2Zr2O7 (meta-GGA r2SCAN, relaxed)
data_La2Zr2O7
_chemical_formula_sum 'La4 Zr4 O14'
_cell_length_a 7.642
_cell_length_b 7.642
_cell_length_c 7.642
_cell_angle_alpha 60.00
_cell_angle_beta 60.00
_cell_angle_gamma 60.00
_space_group_name_H-M_alt 'P 1'
_space_group_IT_number 1
loop_
_space_group_symop_operation_xyz
'x,y,z'
loop_
_atom_site_label
_atom_site_type_symbol
_atom_site_fract_x
_atom_site_fract_y
_atom_site_fract_z
La1 La 0.000 0.000 0.000
La2 La 0.000 0.000 0.500
La3 La 0.000 0.500 0.000
La4 La 0.500 0.000 0.000
Zr1 Zr 0.000 0.500 0.500
Zr2 Zr 0.500 0.000 0.500
Zr3 Zr 0.500 0.500 0.000
Zr4 Zr 0.500 0.500 0.500
O1 O 0.125 0.125 0.125
O2 O 0.168 0.168 0.582
O3 O 0.168 0.582 0.168
O4 O 0.168 0.582 0.582
O5 O 0.418 0.418 0.832
O6 O 0.418 0.832 0.418
O7 O 0.418 0.832 0.832
O8 O 0.582 0.168 0.168
O9 O 0.582 0.168 0.582
O10 O 0.582 0.582 0.168
O11 O 0.832 0.418 0.418
O12 O 0.832 0.418 0.832
O13 O 0.832 0.832 0.418
O14 O 0.875 0.875 0.875
# crystal system	cubic
# V	14.3	Å³ per atom
# ΔH_f (0 K)	-3843	meV/atom

# 4
# TiH (meta-GGA r2SCAN, relaxed)
data_TiH
_chemical_formula_sum 'Ti1 H1'
_cell_length_a 2.955
_cell_length_b 2.955
_cell_length_c 2.955
_cell_angle_alpha 60.00
_cell_angle_beta 60.00
_cell_angle_gamma 60.00
_space_group_name_H-M_alt 'P 1'
_space_group_IT_number 1
loop_
_space_group_symop_operation_xyz
'x,y,z'
loop_
_atom_site_label
_atom_site_type_symbol
_atom_site_fract_x
_atom_site_fract_y
_atom_site_fract_z
Ti1 Ti 0.000 0.000 0.000
H1 H 0.500 0.500 0.500
# crystal system	cubic
# V	9.1	Å³ per atom
# ΔH_f (0 K)	-357	meV/atom

# 5
# Tl2CuTe2 (meta-GGA r2SCAN, relaxed)
data_Tl2CuTe2
_chemical_formula_sum 'Tl2 Cu1 Te2'
_cell_length_a 8.656
_cell_length_b 8.656
_cell_length_c 8.656
_cell_angle_alpha 151.19
_cell_angle_beta 151.19
_cell_angle_gamma 41.20
_space_group_name_H-M_alt 'P 1'
_space_group_IT_number 1
loop_
_space_group_symop_operation_xyz
'x,y,z'
loop_
_atom_site_label
_atom_site_type_symbol
_atom_site_fract_x
_atom_site_fract_y
_atom_site_fract_z
Tl1 Tl 0.250 0.750 0.500
Tl2 Tl 0.750 0.250 0.500
Cu1 Cu 0.000 0.000 0.000
Te1 Te 0.412 0.412 0.000
Te2 Te 0.588 0.588 0.000
# crystal system	tetragonal
# V	30.1	Å³ per atom
# ΔH_f (0 K)	373	meV/atom

# 6
# BaGaGe (meta-GGA r2SCAN, relaxed)
data_BaGaGe
_chemical_formula_sum 'Ba4 Ga4 Ge4'
_cell_length_a 4.346
_cell_length_b 4.346
_cell_length_c 20.589
_cell_angle_alpha 90.00
_cell_angle_beta 90.00
_cell_angle_gamma 120.00
_space_group_name_H-M_alt 'P 1'
_space_group_IT_number 1
loop_
_space_group_symop_operation_xyz
'x,y,z'
loop_
_atom_site_label
_atom_site_type_symbol
_atom_site_fract_x
_atom_site_fract_y
_atom_site_fract_z
Ba1 Ba 0.000 0.000 0.000
Ba2 Ba 0.000 0.000 0.250
Ba3 Ba 0.000 0.000 0.500
Ba4 Ba 0.000 0.000 0.750
Ga1 Ga 0.333 0.667 0.135
Ga2 Ga 0.333 0.667 0.365
Ga3 Ga 0.667 0.333 0.635
Ga4 Ga 0.667 0.333 0.865
Ge1 Ge 0.333 0.667 0.616
Ge2 Ge 0.333 0.667 0.884
Ge3 Ge 0.667 0.333 0.116
Ge4 Ge 0.667 0.333 0.384
# crystal system	hexagonal
# V	28.1	Å³ per atom
# ΔH_f (0 K)	-607	meV/atom

# 7
# Cs2GeSe3 (meta-GGA r2SCAN, relaxed)
data_Cs2GeSe3
_chemical_formula_sum 'Cs4 Ge2 Se6'
_cell_length_a 8.136
_cell_length_b 8.136
_cell_length_c 10.473
_cell_angle_alpha 120.24
_cell_angle_beta 120.24
_cell_angle_gamma 54.94
_space_group_name_H-M_alt 'P 1'
_space_group_IT_number 1
loop_
_space_group_symop_operation_xyz
'x,y,z'
loop_
_atom_site_label
_atom_site_type_symbol
_atom_site_fract_x
_atom_site_fract_y
_atom_site_fract_z
Cs1 Cs 0.083 0.083 0.362
Cs2 Cs 0.304 0.304 0.180
Cs3 Cs 0.696 0.696 0.820
Cs4 Cs 0.917 0.917 0.638
Ge1 Ge 0.384 0.384 0.819
Ge2 Ge 0.616 0.616 0.181
Se1 Se 0.208 0.208 0.775
Se2 Se 0.262 0.738 0.000
Se3 Se 0.390 0.390 0.604
Se4 Se 0.610 0.610 0.396
Se5 Se 0.738 0.262 0.000
Se6 Se 0.792 0.792 0.225
# crystal system	monoclinic
# V	38.9	Å³ per atom
# ΔH_f (0 K)	-1061	meV/atom

# 8
# Sc2PdAu (meta-GGA r2SCAN, relaxed)
data_Sc2PdAu
_chemical_formula_sum 'Sc2 Pd1 Au1'
_cell_length_a 4.730
_cell_length_b 4.730
_cell_length_c 4.730
_cell_angle_alpha 60.00
_cell_angle_beta 60.00
_cell_angle_gamma 60.00
_space_group_name_H-M_alt 'P 1'
_space_group_IT_number 1
loop_
_space_group_symop_operation_xyz
'x,y,z'
loop_
_atom_site_label
_atom_site_type_symbol
_atom_site_fract_x
_atom_site_fract_y
_atom_site_fract_z
Sc1 Sc 0.250 0.250 0.250
Sc2 Sc 0.750 0.750 0.750
Pd1 Pd 0.000 0.000 0.000
Au1 Au 0.500 0.500 0.500
# crystal system	cubic
# V	18.7	Å³ per atom
# ΔH_f (0 K)	-874	meV/atom